# PBE-GGA Na2PdF6, optimized geometry
# **Energy**: -37.543 eV/f.u.
# **E_form**: -2026 kJ/mol of formula units
# **MP2020-corrected energy**: -40.32 eV/f.u.
data_Na2PdF6
_symmetry_space_group_name_H-M 'P 1'
_symmetry_Int_Tables_number 1
_cell_length_a 9.3506
_cell_length_b 9.3506
_cell_length_c 5.3051
_cell_angle_alpha 90.00
_cell_angle_beta 90.00
_cell_angle_gamma 120.00
loop_
_symmetry_equiv_pos_as_xyz
'x,y,z'
loop_
_atom_site_label
_atom_site_fract_x
_atom_site_fract_y
_atom_site_fract_z
F1 0.1076 0.2004 0.2040
F2 0.2004 0.1076 0.7960
F3 0.2177 0.7490 0.7026
F4 0.5912 0.4544 0.7152
F5 0.5313 0.7823 0.7026
F6 0.0928 0.8924 0.2040
F7 0.7823 0.5313 0.2974
F8 0.4687 0.2510 0.2974
F9 0.2510 0.4687 0.7026
F10 0.5456 0.1368 0.7152
F11 0.8924 0.0928 0.7960
F12 0.8632 0.4088 0.7152
F13 0.9072 0.7996 0.7960
F14 0.7996 0.9072 0.2040
F15 0.4544 0.5912 0.2848
F16 0.4088 0.8632 0.2848
F17 0.1368 0.5456 0.2848
F18 0.7490 0.2177 0.2974
Pd1 0.6667 0.3333 0.5055
Pd2 0.0000 0.0000 0.0000
Pd3 0.3333 0.6667 0.4945
Na1 0.0000 0.6253 0.0000
Na2 0.3747 0.3747 0.0000
Na3 0.6253 0.0000 0.0000
Na4 0.0000 0.2920 0.5000
Na5 0.7080 0.7080 0.5000
Na6 0.2920 0.0000 0.5000